1.
Si2Ge3P6O25 | the Materials Project database | PBE-GGA | relaxed; DFT formation energy = -2613.3 meV/atom
1.0
8.083 0.000 0.000
-4.042 7.000 0.000
0.000 0.000 16.657
Si Ge P O
4 6 12 50
Direct
0.000 0.000 0.153
0.000 0.000 0.347
0.000 0.000 0.653
0.000 0.000 0.847
0.333 0.667 0.024
0.333 0.667 0.476
0.333 0.667 0.750
0.667 0.333 0.250
0.667 0.333 0.524
0.667 0.333 0.976
0.048 0.385 0.608
0.048 0.662 0.892
0.338 0.385 0.892
0.338 0.952 0.608
0.385 0.048 0.108
0.385 0.338 0.392
0.615 0.662 0.608
0.615 0.952 0.892
0.662 0.048 0.392
0.662 0.615 0.108
0.952 0.338 0.108
0.952 0.615 0.392
0.000 0.000 0.250
0.000 0.000 0.750
0.044 0.206 0.117
0.044 0.838 0.383
0.116 0.539 0.090
0.116 0.577 0.410
0.136 0.471 0.689
0.136 0.665 0.811
0.162 0.206 0.383
0.162 0.956 0.117
0.197 0.444 0.541
0.197 0.753 0.959
0.206 0.044 0.617
0.206 0.162 0.883
0.247 0.444 0.959
0.247 0.803 0.541
0.335 0.471 0.811
0.335 0.864 0.689
0.423 0.539 0.410
0.423 0.884 0.090
0.444 0.197 0.041
0.444 0.247 0.459
0.461 0.577 0.090
0.461 0.884 0.410
0.471 0.136 0.189
0.471 0.335 0.311
0.529 0.665 0.689
0.529 0.864 0.811
0.539 0.116 0.590
0.539 0.423 0.910
0.556 0.753 0.541
0.556 0.803 0.959
0.577 0.116 0.910
0.577 0.461 0.590
0.665 0.136 0.311
0.665 0.529 0.189
0.753 0.197 0.459
0.753 0.556 0.041
0.794 0.838 0.117
0.794 0.956 0.383
0.803 0.247 0.041
0.803 0.556 0.459
0.838 0.044 0.883
0.838 0.794 0.617
0.864 0.335 0.189
0.864 0.529 0.311
0.884 0.423 0.590
0.884 0.461 0.910
0.956 0.162 0.617
0.956 0.794 0.883

2.
TaGeP3O12 | the Materials Project database | PBE-GGA | relaxed; DFT formation energy = -2739.3 meV/atom
1.0
-3.303 1.074 -7.828
3.348 -7.559 2.235
-19.662 -6.521 7.401
O P Ge Ta
72 18 6 6
Direct
0.506 0.379 0.141
0.804 0.830 0.194
0.137 0.641 0.361
0.367 0.855 0.574
0.804 0.974 0.694
0.643 0.131 0.425
0.170 0.196 0.694
0.488 0.633 0.574
0.700 0.522 0.241
0.155 0.691 0.759
0.506 0.127 0.641
0.812 0.845 0.908
0.359 0.863 0.861
0.873 0.379 0.641
0.837 0.529 0.028
0.869 0.357 0.925
0.643 0.512 0.925
0.873 0.494 0.141
0.488 0.131 0.925
0.288 0.827 0.974
0.137 0.497 0.861
0.309 0.845 0.259
0.488 0.357 0.425
0.173 0.460 0.974
0.976 0.178 0.592
0.359 0.497 0.361
0.821 0.300 0.241
0.207 0.161 0.808
0.540 0.827 0.474
0.173 0.712 0.474
0.145 0.512 0.574
0.869 0.512 0.425
0.540 0.712 0.974
0.478 0.300 0.741
0.202 0.024 0.592
0.693 0.529 0.528
0.309 0.464 0.759
0.170 0.974 0.194
0.700 0.179 0.741
0.488 0.855 0.074
0.478 0.179 0.241
0.503 0.863 0.361
0.367 0.512 0.074
0.954 0.161 0.308
0.471 0.307 0.028
0.839 0.793 0.308
0.837 0.307 0.528
0.155 0.966 0.908
0.288 0.460 0.474
0.822 0.798 0.592
0.202 0.178 0.092
0.976 0.798 0.092
0.621 0.494 0.641
0.026 0.830 0.694
0.693 0.163 0.028
0.621 0.127 0.141
0.034 0.188 0.908
0.026 0.196 0.194
0.954 0.793 0.808
0.207 0.046 0.308
0.034 0.845 0.408
0.839 0.046 0.808
0.155 0.188 0.408
0.145 0.633 0.074
0.536 0.845 0.759
0.155 0.464 0.259
0.812 0.966 0.408
0.536 0.691 0.259
0.822 0.024 0.092
0.821 0.522 0.741
0.471 0.163 0.528
0.503 0.641 0.861
0.058 0.376 0.917
0.391 0.349 0.084
0.651 0.609 0.584
0.985 0.276 0.250
0.318 0.942 0.917
0.651 0.042 0.084
0.291 0.276 0.750
0.985 0.709 0.750
0.318 0.376 0.417
0.958 0.609 0.084
0.058 0.682 0.417
0.624 0.942 0.417
0.724 0.015 0.750
0.291 0.015 0.250
0.958 0.349 0.584
0.624 0.682 0.917
0.724 0.709 0.250
0.391 0.042 0.584
0.667 0.333 0.688
0.333 0.667 0.021
0.000 0.000 0.855
0.667 0.333 0.188
0.000 0.000 0.355
0.333 0.667 0.521
0.667 0.333 0.473
0.000 0.000 0.640
0.000 0.000 0.140
0.333 0.667 0.306
0.667 0.333 0.973
0.333 0.667 0.806

3.
GePb3O5 | the Materials Project database | PBE-GGA | relaxed; piezoelectric modulus e_max = 1.36 C/m²; DFT formation energy = -1635.0 meV/atom; ΔE to the lowest computed polymorph = 0.090 eV per atom
1.0
3.789 -3.845 0.000
3.789 3.845 0.000
0.000 0.000 5.501
Ge Pb O
1 3 5
Direct
0.000 0.000 0.000
0.000 0.500 0.495
0.500 0.000 0.495
0.500 0.500 0.968
0.187 0.813 0.807
0.191 0.191 0.189
0.500 0.500 0.548
0.809 0.809 0.189
0.813 0.187 0.807

4.
Ge3Pb5O11 | the Materials Project database | PBE-GGA | relaxed; DFT formation energy = -1840.2 meV/atom; ΔE to the lowest computed polymorph = 0.002 eV per atom
1.0
10.410 0.000 0.000
-5.205 9.015 0.000
0.000 0.000 10.864
Ge Pb O
9 15 33
Direct
0.007 0.618 0.000
0.382 0.389 0.000
0.391 0.015 0.348
0.391 0.015 0.652
0.611 0.993 0.000
0.624 0.609 0.348
0.624 0.609 0.652
0.985 0.376 0.348
0.985 0.376 0.652
0.004 0.260 0.000
0.256 0.996 0.000
0.266 0.265 0.316
0.266 0.265 0.684
0.333 0.667 0.176
0.333 0.667 0.500
0.333 0.667 0.824
0.667 0.333 0.161
0.667 0.333 0.500
0.667 0.333 0.839
0.735 0.001 0.316
0.735 0.001 0.684
0.740 0.744 0.000
0.999 0.734 0.316
0.999 0.734 0.684
0.085 0.744 0.125
0.085 0.744 0.875
0.089 0.503 0.000
0.178 0.487 0.336
0.178 0.487 0.664
0.256 0.341 0.125
0.256 0.341 0.875
0.309 0.822 0.336
0.309 0.822 0.664
0.319 0.087 0.238
0.319 0.087 0.762
0.355 0.069 0.500
0.415 0.911 0.000
0.481 0.291 0.000
0.497 0.585 0.000
0.513 0.691 0.336
0.513 0.691 0.664
0.522 0.410 0.338
0.522 0.410 0.662
0.590 0.111 0.338
0.590 0.111 0.662
0.659 0.915 0.125
0.659 0.915 0.875
0.709 0.190 0.000
0.714 0.645 0.500
0.769 0.681 0.238
0.769 0.681 0.762
0.810 0.519 0.000
0.889 0.478 0.338
0.889 0.478 0.662
0.913 0.231 0.238
0.913 0.231 0.762
0.931 0.286 0.500

5.
GePbO3 | the Materials Project database | PBE-GGA | relaxed; DFT formation energy = -1711.5 meV/atom
1.0
3.888 0.000 0.000
0.000 3.888 0.000
0.000 0.000 3.888
Ge Pb O
1 1 3
Direct
0.000 0.000 0.000
0.500 0.500 0.500
0.000 0.000 0.500
0.000 0.500 0.000
0.500 0.000 0.000

6.
GePbO3 | the Materials Project database | PBE-GGA | relaxed; DFT formation energy = -1929.2 meV/atom
1.0
7.935 4.581 2.465
-7.935 4.581 2.465
0.000 -9.163 2.465
Ge Pb O
6 6 18
Direct
0.258 0.655 0.521
0.345 0.479 0.742
0.479 0.742 0.345
0.521 0.258 0.655
0.655 0.521 0.258
0.742 0.345 0.479
0.011 0.708 0.173
0.173 0.011 0.708
0.292 0.827 0.989
0.708 0.173 0.011
0.827 0.989 0.292
0.989 0.292 0.827
0.033 0.536 0.285
0.152 0.263 0.682
0.220 0.454 0.521
0.263 0.682 0.152
0.285 0.033 0.536
0.318 0.848 0.737
0.454 0.521 0.220
0.464 0.715 0.967
0.479 0.780 0.546
0.521 0.220 0.454
0.536 0.285 0.033
0.546 0.479 0.780
0.682 0.152 0.263
0.715 0.967 0.464
0.737 0.318 0.848
0.780 0.546 0.479
0.848 0.737 0.318
0.967 0.464 0.715

7.
Ge3Pb3O10 | the Materials Project database | PBE-GGA | relaxed; DFT formation energy = -1520.4 meV/atom
1.0
7.942 4.586 2.469
-7.942 4.586 2.469
0.000 -9.171 2.469
Ge Pb O
6 6 20
Direct
0.258 0.522 0.654
0.346 0.742 0.478
0.478 0.346 0.742
0.522 0.654 0.258
0.654 0.258 0.522
0.742 0.478 0.346
0.011 0.172 0.707
0.172 0.707 0.011
0.293 0.989 0.828
0.707 0.011 0.172
0.828 0.293 0.989
0.989 0.828 0.293
0.032 0.288 0.537
0.084 0.084 0.084
0.151 0.679 0.260
0.221 0.522 0.453
0.260 0.151 0.679
0.288 0.537 0.032
0.321 0.740 0.849
0.453 0.221 0.522
0.463 0.968 0.712
0.478 0.547 0.779
0.522 0.453 0.221
0.537 0.032 0.288
0.547 0.779 0.478
0.679 0.260 0.151
0.712 0.463 0.968
0.740 0.849 0.321
0.779 0.478 0.547
0.849 0.321 0.740
0.916 0.916 0.916
0.968 0.712 0.463

8.
Ge4PbO9 | the Materials Project database | PBE-GGA | relaxed; DFT formation energy = -2022.3 meV/atom
1.0
11.559 0.000 0.000
-5.779 10.010 0.000
0.000 0.000 4.829
Ge Pb O
12 3 27
Direct
0.000 0.000 0.000
0.000 0.180 0.500
0.149 0.491 0.398
0.180 0.000 0.500
0.333 0.667 0.888
0.341 0.851 0.398
0.491 0.149 0.602
0.509 0.659 0.398
0.659 0.509 0.602
0.667 0.333 0.112
0.820 0.820 0.500
0.851 0.341 0.602
0.000 0.674 0.000
0.326 0.326 0.000
0.674 0.000 0.000
0.000 0.488 0.500
0.061 0.906 0.762
0.094 0.154 0.762
0.109 0.325 0.293
0.154 0.094 0.238
0.180 0.601 0.118
0.216 0.891 0.293
0.249 0.738 0.666
0.262 0.511 0.666
0.325 0.109 0.707
0.399 0.579 0.118
0.421 0.820 0.118
0.488 0.000 0.500
0.489 0.751 0.666
0.511 0.262 0.334
0.512 0.512 0.500
0.579 0.399 0.882
0.601 0.180 0.882
0.675 0.784 0.293
0.738 0.249 0.334
0.751 0.489 0.334
0.784 0.675 0.707
0.820 0.421 0.882
0.846 0.939 0.762
0.891 0.216 0.707
0.906 0.061 0.238
0.939 0.846 0.238

Q: What is the DFT formation energy in the first record?
A: -2613.3 meV/atom

Q: Which value of DFT formation energy does entry 7 give?
A: -1520.4 meV/atom